Entry w
Density functional theory data (PBE+U) for a geometry-optimized MgMn4O8 structure.

a b c (Å): 7.6898 7.6820 5.7854
angles (deg): 67.96 67.82 44.22
Last column: nearest neighbours and their distance in Å.
Positions (direct):
1 Mg 0.0000 0.0000 0.0000  4 O 2.03
2 Mn 0.0710 0.5828 0.1733  5 O 1.94-1.99
3 Mn 0.1733 0.1729 0.0710  5 O 1.94-1.99
4 Mn 0.1729 0.1733 0.5828  5 O 1.94-1.99
5 Mn 0.5828 0.0710 0.1729  5 O 1.94-1.99
6 O 0.3245 0.3257 0.3974  3 Mn 1.96-1.99
7 O 0.3257 0.3245 0.9525  3 Mn 1.96-1.99
8 O 0.3318 0.9225 0.8720  2 Mn 1.94, 1 Mg 2.03
9 O 0.3974 0.9525 0.3245  3 Mn 1.96-1.99
10 O 0.8720 0.8738 0.3318  2 Mn 1.94, 1 Mg 2.03
11 O 0.8738 0.8720 0.9225  2 Mn 1.94, 1 Mg 2.03
12 O 0.9225 0.3318 0.8738  2 Mn 1.94, 1 Mg 2.03
13 O 0.9525 0.3974 0.3257  3 Mn 1.96-1.99

**Total magnetic moment**: 14.00 μB/f.u.
**Space group**: F222, No. 22

Entry x
Density functional theory data (PBE+U) for a geometry-optimized MgMn4O8 structure.

a b c (Å): 6.0621 6.0194 5.8873
angles (deg): 61.20 60.47 58.33
Last column: nearest neighbours and their distance in Å.
Positions (direct):
1 Mg 0.0000 0.0000 0.0000  4 O 2.01
2 Mn 0.3763 0.3771 0.3775  6 O 1.93-2.12
3 Mn 0.3771 0.3763 0.8691  6 O 1.93-2.12
4 Mn 0.3775 0.8691 0.3763  6 O 1.93-2.12
5 Mn 0.8691 0.3775 0.3771  6 O 1.93-2.12
6 O 0.1346 0.1368 0.5882  3 Mn 1.99-2.12, 1 Mg 2.01
7 O 0.1368 0.1346 0.1403  3 Mn 1.99-2.12, 1 Mg 2.01
8 O 0.1403 0.5882 0.1368  3 Mn 1.99-2.12, 1 Mg 2.01
9 O 0.1709 0.6066 0.6127  3 Mn 1.93-2.06
10 O 0.5882 0.1403 0.1346  3 Mn 1.99-2.12, 1 Mg 2.01
11 O 0.6066 0.1709 0.6097  3 Mn 1.93-2.06
12 O 0.6097 0.6127 0.6066  3 Mn 1.93-2.06
13 O 0.6127 0.6097 0.1709  3 Mn 1.93-2.06

**Total magnetic moment**: 14.00 μB/f.u.
**Space group**: F222, No. 22

Entry y
Density functional theory data (PBE+U) for a geometry-optimized MgMn4O8 structure.

a b c (Å): 7.2741 7.2741 9.4549
angles (deg): 129.93 129.93 23.64
Last column: nearest neighbours and their distance in Å.
Positions (direct):
1 Mg 0.0000 0.0000 0.0000  5 O 2.06-2.13
2 Mn 0.1931 0.1931 0.0093  4 O 1.91-1.97
3 Mn 0.4999 0.4999 0.6444  6 O 1.94-2.04
4 Mn 0.7042 0.7042 0.3664  5 O 1.95-1.98
5 Mn 0.9844 0.9844 0.2945  6 O 1.93-2.13
6 O 0.1216 0.1216 0.7535  3 Mn 1.91-1.99
7 O 0.1729 0.1729 0.4638  3 Mn 1.95-2.03
8 O 0.1966 0.1966 0.2212  3 Mn 1.97-1.98, 1 Mg 2.13
9 O 0.4816 0.4816 0.4217  3 Mn 1.93-1.94
10 O 0.4977 0.4977 0.1478  2 Mg 2.06, 3 Mn 2.13-2.22
11 O 0.5482 0.5482 0.9012  3 Mn 2.04-2.18, 2 Mg 2.10
12 O 0.8033 0.8033 0.0900  3 Mn 1.92-1.96
13 O 0.8858 0.8858 0.5617  3 Mn 1.95-1.96

**Total magnetic moment**: 14.00 μB/f.u.
**Space group**: Cm, No. 8

Entry z
Density functional theory data (PBE+U) for a geometry-optimized MgMn4O8 structure.

a b c (Å): 5.2797 5.8196 5.9763
angles (deg): 62.40 89.56 71.90
Last column: nearest neighbours and their distance in Å.
Positions (direct):
1 Mg 0.0000 0.0000 0.0000  6 O 2.10-2.17
2 Mn 0.4581 0.5157 0.7428  4 O 1.93-2.04
3 Mn 0.4978 0.0015 0.7463  6 O 1.92-2.00
4 Mn 0.5022 0.9985 0.2537  6 O 1.92-2.00
5 Mn 0.5419 0.4843 0.2572  4 O 1.93-2.04
6 O 0.2810 0.7691 0.8651  2 Mn 1.92-1.93, 1 Mg 2.10
7 O 0.2843 0.2191 0.9030  3 Mn 1.99-2.04, 1 Mg 2.17
8 O 0.2956 0.7564 0.3350  2 Mn 1.93-1.95, 1 Mg 2.12
9 O 0.3192 0.2334 0.3929  3 Mn 1.93-2.03
10 O 0.6808 0.7666 0.6071  3 Mn 1.93-2.03
11 O 0.7044 0.2436 0.6650  2 Mn 1.93-1.95, 1 Mg 2.12
12 O 0.7157 0.7809 0.0970  3 Mn 1.99-2.04, 1 Mg 2.17
13 O 0.7190 0.2309 0.1349  2 Mn 1.92-1.93, 1 Mg 2.10

**Total magnetic moment**: 14.00 μB/f.u.
**Space group**: P-1, No. 2

Which structure loses on stability? entry w does.

Entry w
Density functional theory data (PBE+U) for a geometry-optimized LiVF3 structure.

a b c (Å): 7.0302 8.0674 21.0428
angles (deg): 83.55 82.91 86.19
Last column: nearest neighbours and their distance in Å.
Positions (direct):
1 Li 0.0025 0.1363 0.0875  4 F 1.86-2.05
2 Li 0.0333 0.4350 0.2983  4 F 1.84-1.94
3 Li 0.1185 0.7201 0.5174  4 F 1.78-1.96
4 Li 0.1464 0.4031 0.1547  3 F 1.83-1.90
5 Li 0.1910 0.0423 0.7314  3 F 1.79-1.93
6 Li 0.2312 0.3358 0.9443  3 F 1.86-1.92
7 Li 0.2306 0.6983 0.3598  4 F 1.78-1.96
8 Li 0.3161 0.9988 0.5898  4 F 1.82-1.92
9 Li 0.3683 0.3109 0.7937  3 F 1.84-1.91
10 Li 0.6317 0.6891 0.2063  3 F 1.84-1.91
11 Li 0.6839 0.0012 0.4102  4 F 1.82-1.92
12 Li 0.7694 0.3017 0.6402  4 F 1.78-1.96
13 Li 0.7688 0.6642 0.0557  3 F 1.86-1.92
14 Li 0.8090 0.9577 0.2686  3 F 1.79-1.93
15 Li 0.8536 0.5969 0.8453  3 F 1.83-1.90
16 Li 0.8815 0.2799 0.4826  4 F 1.78-1.96
17 Li 0.9667 0.5650 0.7017  4 F 1.84-1.94
18 Li 0.9975 0.8637 0.9125  4 F 1.86-2.05
19 V 0.0999 0.0300 0.4018  4 F 2.04-2.26
20 V 0.1049 0.7604 0.1568  5 F 2.03-2.21
21 V 0.2492 0.7281 0.0063  6 F 2.05-2.28
22 V 0.2872 0.3943 0.6281  6 F 2.06-2.25
23 V 0.2997 0.0496 0.2346  6 F 2.02-2.24
24 V 0.3603 0.7019 0.8496  6 F 2.05-2.25
25 V 0.3931 0.3509 0.4652  6 F 2.08-2.22
26 V 0.4452 0.0147 0.0793  6 F 2.10-2.21
27 V 0.4936 0.6776 0.6929  6 F 2.06-2.23
28 V 0.5064 0.3224 0.3071  6 F 2.06-2.23
29 V 0.5548 0.9853 0.9207  6 F 2.10-2.21
30 V 0.6069 0.6491 0.5348  6 F 2.08-2.22
31 V 0.6397 0.2981 0.1504  6 F 2.05-2.25
32 V 0.7003 0.9504 0.7654  6 F 2.02-2.24
33 V 0.7128 0.6057 0.3719  6 F 2.06-2.25
34 V 0.7508 0.2719 0.9937  6 F 2.05-2.28
35 V 0.8951 0.2396 0.8432  5 F 2.03-2.21
36 V 0.9001 0.9700 0.5982  4 F 2.04-2.26
37 F 0.0080 0.6029 0.3527  2 Li 1.82-1.86
38 F 0.0354 0.2701 0.0080  2 Li 1.86-1.88, 1 V 2.06
39 F 0.0381 0.9693 0.2080  1 Li 1.93, 2 V 2.10-2.15
40 F 0.0667 0.7063 0.8543  2 Li 1.83-1.86
41 F 0.0941 0.5481 0.2182  2 Li 1.84-1.86, 1 V 2.03
42 F 0.1101 0.9891 0.6592  2 Li 1.79-1.92
43 F 0.1345 0.2801 0.4414  1 Li 1.88, 1 V 2.08
44 F 0.1530 0.9311 0.5383  2 Li 1.82-1.84
45 F 0.1563 0.7855 0.4335  2 Li 1.78
46 F 0.1705 0.9387 0.0700  1 Li 1.96, 1 V 2.10
47 F 0.1767 0.2684 0.8655  2 Li 1.89-1.91
48 F 0.2238 0.5834 0.0930  1 Li 1.90, 1 V 2.05
49 F 0.2263 0.6082 0.6798  1 Li 1.87, 1 V 2.06
50 F 0.2309 0.2574 0.2877  1 Li 1.94, 2 V 2.12-2.14
51 F 0.2824 0.8933 0.9172  1 Li 2.05, 3 V 2.11-2.21
52 F 0.2957 0.9189 0.3222  1 Li 1.93, 1 V 2.02
53 F 0.3120 0.2450 0.7175  2 Li 1.84-1.87
54 F 0.3222 0.5475 0.5317  1 Li 1.96
55 F 0.3359 0.5515 0.9401  1 Li 1.92, 2 V 2.11-2.14
56 F 0.3486 0.2087 0.1408  1 Li 2.07, 3 V 2.16-2.25
57 F 0.3756 0.2198 0.5592  1 Li 1.88
58 F 0.4023 0.8561 0.1681  3 V 2.14-2.32, 1 Li 2.20
59 F 0.4083 0.8690 0.7612  1 Li 2.11, 3 V 2.18-2.23
60 F 0.4223 0.5140 0.3724  1 Li 1.96, 1 V 2.19
61 F 0.4584 0.5287 0.7857  1 Li 1.89, 1 V 2.07
62 F 0.4660 0.1708 0.9860  3 V 2.15-2.24, 1 Li 2.25
63 F 0.4924 0.1755 0.3974  1 Li 1.90, 1 V 2.12
64 F 0.5076 0.8245 0.6026  1 Li 1.90, 1 V 2.12
65 F 0.5340 0.8292 0.0140  3 V 2.15-2.24, 1 Li 2.25
66 F 0.5416 0.4713 0.2143  1 Li 1.89, 1 V 2.07
67 F 0.5777 0.4860 0.6276  1 Li 1.96, 1 V 2.19
68 F 0.5917 0.1310 0.2388  1 Li 2.11, 3 V 2.18-2.23
69 F 0.5977 0.1439 0.8319  3 V 2.14-2.32, 1 Li 2.20
70 F 0.6244 0.7802 0.4408  1 Li 1.88
71 F 0.6514 0.7913 0.8592  1 Li 2.07, 3 V 2.16-2.25
72 F 0.6641 0.4485 0.0599  1 Li 1.92, 2 V 2.11-2.14
73 F 0.6778 0.4525 0.4683  1 Li 1.96
74 F 0.6880 0.7550 0.2825  2 Li 1.84-1.87
75 F 0.7043 0.0811 0.6778  1 Li 1.93, 1 V 2.02
76 F 0.7176 0.1067 0.0828  1 Li 2.05, 3 V 2.11-2.21
77 F 0.7691 0.7426 0.7123  1 Li 1.94, 2 V 2.12-2.14
78 F 0.7737 0.3918 0.3202  1 Li 1.87, 1 V 2.06
79 F 0.7762 0.4166 0.9070  1 Li 1.90, 1 V 2.05
80 F 0.8233 0.7316 0.1345  2 Li 1.89-1.91
81 F 0.8295 0.0613 0.9300  1 Li 1.96, 1 V 2.10
82 F 0.8437 0.2145 0.5665  2 Li 1.78
83 F 0.8470 0.0689 0.4617  2 Li 1.82-1.84
84 F 0.8655 0.7199 0.5586  1 Li 1.88, 1 V 2.08
85 F 0.8899 0.0109 0.3408  2 Li 1.79-1.92
86 F 0.9059 0.4519 0.7818  2 Li 1.84-1.86, 1 V 2.03
87 F 0.9333 0.2937 0.1457  2 Li 1.83-1.86
88 F 0.9619 0.0307 0.7920  1 Li 1.93, 2 V 2.10-2.15
89 F 0.9646 0.7299 0.9920  2 Li 1.86-1.88, 1 V 2.06
90 F 0.9920 0.3971 0.6473  2 Li 1.82-1.86

**Total magnetic moment**: 3.00 μB/f.u.
**Space group**: P-1, No. 2

Entry x
Density functional theory data (PBE+U) for a geometry-optimized LiVF3 structure.

a b c (Å): 5.3724 5.0112 8.9088
angles (deg): 90.00 90.00 90.00
Last column: nearest neighbours and their distance in Å.
Positions (direct):
1 Li 0.2500 0.0000 0.1895  4 F 1.91-2.12
2 Li 0.2500 0.5000 0.3105  4 F 1.91-2.12
3 Li 0.7500 0.0000 0.8105  4 F 1.91-2.12
4 Li 0.7500 0.5000 0.6895  4 F 1.91-2.12
5 V 0.2500 0.0000 0.5946  6 F 2.11-2.15
6 V 0.2500 0.5000 0.9054  6 F 2.11-2.15
7 V 0.7500 0.0000 0.4054  6 F 2.11-2.15
8 V 0.7500 0.5000 0.0946  6 F 2.11-2.15
9 F 0.0524 0.2500 0.7500  2 Li 2.12, 2 V 2.15
10 F 0.0850 0.2179 0.4145  1 Li 1.91, 2 V 2.11-2.13
11 F 0.0850 0.2821 0.0855  1 Li 1.91, 2 V 2.11-2.13
12 F 0.4150 0.7179 0.0855  1 Li 1.91, 2 V 2.11-2.13
13 F 0.4150 0.7821 0.4145  1 Li 1.91, 2 V 2.11-2.13
14 F 0.4476 0.7500 0.7500  2 Li 2.12, 2 V 2.15
15 F 0.5524 0.2500 0.2500  2 Li 2.12, 2 V 2.15
16 F 0.5850 0.2179 0.5855  1 Li 1.91, 2 V 2.11-2.13
17 F 0.5850 0.2821 0.9145  1 Li 1.91, 2 V 2.11-2.13
18 F 0.9150 0.7179 0.9145  1 Li 1.91, 2 V 2.11-2.13
19 F 0.9150 0.7821 0.5855  1 Li 1.91, 2 V 2.11-2.13
20 F 0.9476 0.7500 0.2500  2 Li 2.12, 2 V 2.15

**Total magnetic moment**: 3.00 μB/f.u.
**Space group**: Pnna, No. 52

Which structure loses on stability? entry w does.

Entry w
Density functional theory data (PBE+U) for a geometry-optimized LiVF3 structure.

a b c (Å): 7.2566 7.2566 5.7822
angles (deg): 109.01 109.01 80.27
Last column: nearest neighbours and their distance in Å.
Positions (direct):
1 Li 0.1211 0.2713 0.1759  4 F 1.84-1.99
2 Li 0.2713 0.1211 0.6759  4 F 1.84-1.99
3 Li 0.7287 0.8789 0.3241  4 F 1.84-1.99
4 Li 0.8789 0.7287 0.8241  4 F 1.84-1.99
5 V 0.2313 0.7687 0.2500  6 F 2.07-2.26
6 V 0.4067 0.5933 0.7500  6 F 2.07-2.19
7 V 0.5933 0.4067 0.2500  6 F 2.07-2.19
8 V 0.7687 0.2313 0.7500  6 F 2.07-2.26
9 F 0.0683 0.2194 0.8156  2 Li 1.84-1.91
10 F 0.1480 0.6478 0.8459  1 Li 1.92, 2 V 2.07-2.13
11 F 0.2194 0.0683 0.3156  2 Li 1.84-1.91
12 F 0.3122 0.4773 0.3330  1 Li 1.99, 2 V 2.19
13 F 0.3522 0.8520 0.6541  1 Li 1.92, 2 V 2.07-2.13
14 F 0.4773 0.3122 0.8330  1 Li 1.99, 2 V 2.19
15 F 0.5227 0.6878 0.1670  1 Li 1.99, 2 V 2.19
16 F 0.6478 0.1480 0.3459  1 Li 1.92, 2 V 2.07-2.13
17 F 0.6878 0.5227 0.6670  1 Li 1.99, 2 V 2.19
18 F 0.7806 0.9316 0.6844  2 Li 1.84-1.91
19 F 0.8520 0.3522 0.1541  1 Li 1.92, 2 V 2.07-2.13
20 F 0.9316 0.7806 0.1844  2 Li 1.84-1.91

**Total magnetic moment**: 3.00 μB/f.u.
**Space group**: C2/c, No. 15

Entry x
Density functional theory data (PBE+U) for a geometry-optimized LiVF3 structure.

a b c (Å): 6.1664 6.1664 6.1664
angles (deg): 90.00 90.00 90.00
Last column: nearest neighbours and their distance in Å.
Positions (direct):
1 Li 0.1247 0.3753 0.6247  3 F 1.97
2 Li 0.3753 0.6247 0.1247  3 F 1.97
3 Li 0.6247 0.1247 0.3753  3 F 1.97
4 Li 0.8753 0.8753 0.8753  3 F 1.97
5 V 0.1631 0.1631 0.1631  6 F 2.13-2.14
6 V 0.3369 0.8369 0.6631  6 F 2.13-2.14
7 V 0.6631 0.3369 0.8369  6 F 2.13-2.14
8 V 0.8369 0.6631 0.3369  6 F 2.13-2.14
9 F 0.0105 0.7264 0.6278  1 Li 1.97, 2 V 2.13-2.14
10 F 0.1278 0.4895 0.2736  1 Li 1.97, 2 V 2.13-2.14
11 F 0.2264 0.8722 0.9895  1 Li 1.97, 2 V 2.13-2.14
12 F 0.2736 0.1278 0.4895  1 Li 1.97, 2 V 2.13-2.14
13 F 0.3722 0.5105 0.7736  1 Li 1.97, 2 V 2.13-2.14
14 F 0.4895 0.2736 0.1278  1 Li 1.97, 2 V 2.13-2.14
15 F 0.5105 0.7736 0.3722  1 Li 1.97, 2 V 2.13-2.14
16 F 0.6278 0.0105 0.7264  1 Li 1.97, 2 V 2.13-2.14
17 F 0.7264 0.6278 0.0105  1 Li 1.97, 2 V 2.13-2.14
18 F 0.7736 0.3722 0.5105  1 Li 1.97, 2 V 2.13-2.14
19 F 0.8722 0.9895 0.2264  1 Li 1.97, 2 V 2.13-2.14
20 F 0.9895 0.2264 0.8722  1 Li 1.97, 2 V 2.13-2.14

**Total magnetic moment**: 3.00 μB/f.u.
**Space group**: P2_13, No. 198

Which structure loses on stability? entry w does.